[1]
## MgTl2Pb16Br18O8 (PBE)

Data for a geometry-optimized MgTl2Pb16Br18O8 structure.

Cell: 8.4900 12.6871 12.8744 Å, 90.90 88.52 89.83°
Closest atoms and distances in Å follow each position.
Fractional positions:
Br (0.3679, 0.5602, 0.8629)  3 Pb 2.95-3.21, 1 Tl 3.21, 1 O 3.29
Br (0.0109, 0.7559, 0.2552)  7 Pb 3.30-3.55, 4 O 3.42-3.66
Br (0.9910, 0.2502, 0.7447)  8 Pb 3.36-3.61, 4 O 3.46-3.55
Br (0.1140, 0.1453, 0.0309)  1 Pb 2.92
Br (0.6172, 0.3662, 0.4350)  2 Pb 2.96-3.17
Br (0.6076, 0.1294, 0.0606)  1 Pb 2.93
Br (0.1111, 0.4552, 0.1350)  1 Pb 2.92
Br (0.8815, 0.6557, 0.5404)  1 Mg 2.69
Br (0.3651, 0.8837, 0.9291)  1 Pb 2.86, 1 Tl 3.10
Br (0.4278, 0.9261, 0.6159)  1 Mg 2.77, 1 Pb 3.04
Br (0.8889, 0.5315, 0.8710)  1 Pb 2.95
Br (0.6009, 0.4330, 0.1337)  1 Pb 2.96
Br (0.1107, 0.3624, 0.4660)  1 Pb 3.02
Br (0.6025, 0.0755, 0.3606)  1 Pb 2.93
Br (0.1206, 0.0430, 0.3594)  1 Pb 2.96
Br (0.9104, 0.8742, 0.9648)  1 Pb 2.93, 1 Tl 3.23
Br (0.8716, 0.9546, 0.6180)  1 Mg 2.73
Br (0.4014, 0.6340, 0.5663)  1 Pb 2.95, 1 Mg 3.18
O (0.6345, 0.8546, 0.1887)  4 Pb 2.30-2.46
O (0.6263, 0.2057, 0.6395)  4 Pb 2.32-2.40
O (0.3794, 0.7997, 0.3470)  4 Pb 2.28-2.40
O (0.3694, 0.1441, 0.7920)  4 Pb 2.32-2.39
O (0.6243, 0.6401, 0.3137)  3 Pb 2.21-2.27
O (0.3699, 0.3582, 0.7000)  4 Pb 2.31-2.44
O (0.3872, 0.6953, 0.1368)  4 Pb 2.31-2.43
O (0.6196, 0.2984, 0.8550)  4 Pb 2.34-2.40
Pb (0.3627, 0.6154, 0.3028)  3 O 2.25-2.40
Pb (0.6425, 0.3866, 0.6941)  3 O 2.34-2.40
Pb (0.3543, 0.1945, 0.6142)  3 O 2.34-2.39
Pb (0.1854, 0.8434, 0.4660)  1 O 2.28
Pb (0.8143, 0.3321, 0.9761)  1 O 2.34
Pb (0.1818, 0.4826, 0.6632)  1 O 2.31
Pb (0.6509, 0.8107, 0.3671)  3 O 2.27-2.38
Pb (0.8220, 0.9826, 0.1603)  1 O 2.30
Pb (0.1757, 0.6558, 0.0338)  1 O 2.31
Pb (0.8173, 0.5242, 0.3294)  1 O 2.21
Pb (0.6402, 0.1172, 0.7996)  3 O 2.33-2.40
Pb (0.3640, 0.8774, 0.1813)  3 O 2.32-2.38
Pb (0.1628, 0.0318, 0.8333)  1 O 2.32
Pb (0.6674, 0.6866, 0.0930)  2 O 2.43-2.46
Pb (0.3465, 0.3088, 0.8822)  3 O 2.34-2.44
Pb (0.8158, 0.1711, 0.5105)  1 O 2.32
Mg (0.6750, 0.7861, 0.6398)  3 Br 2.69-2.77, 1 Tl 2.88
Tl (0.6391, 0.7361, 0.8564)  1 Mg 2.88, 2 Br 3.10-3.21, 1 Pb 3.13
Tl (0.3346, 0.2473, 0.2526)  8 Br 3.45-3.71

space-group type = P1
crystal system = triclinic


[2]
## MgTl2Pb16Br18O8 (PBE)

Data for a geometry-optimized MgTl2Pb16Br18O8 structure.

Cell: 8.6289 12.6148 12.6148 Å, 90.00 90.00 90.00°
Closest atoms and distances in Å follow each position.
Fractional positions:
Br (0.6358, 0.3701, 0.4467)  2 Pb 2.93-3.20
Br (0.1245, 0.0381, 0.3693)  1 Pb 2.97
Br (0.0000, 0.2500, 0.7500)  4 Pb 3.22
Br (0.6223, 0.0664, 0.3680)  4 Pb 3.05-3.37, 1 O 3.36
Br (0.3642, 0.9467, 0.6299)  2 Pb 2.93-3.20
Br (0.6358, 0.1299, 0.0533)  2 Pb 2.93-3.20
Br (0.1082, 0.1406, 0.0522)  2 Pb 2.97-3.23
Br (0.3777, 0.6320, 0.5664)  4 Pb 3.05-3.37, 1 O 3.36
Br (0.8755, 0.6307, 0.5381)  1 Pb 2.97
Br (0.3642, 0.5533, 0.8701)  2 Pb 2.93-3.20
Br (0.1245, 0.4619, 0.1307)  1 Pb 2.97
Br (0.1082, 0.3594, 0.4478)  2 Pb 2.97-3.23
Br (0.0000, 0.7500, 0.2500)  8 Pb 3.38-3.62, 4 O 3.54
Br (0.6223, 0.4336, 0.1320)  4 Pb 3.05-3.37, 1 O 3.36
Br (0.8755, 0.8693, 0.9619)  1 Pb 2.97
Br (0.3777, 0.8680, 0.9336)  4 Pb 3.05-3.37, 1 O 3.36
Br (0.8918, 0.5522, 0.8594)  2 Pb 2.97-3.23
Br (0.8918, 0.9478, 0.6406)  2 Pb 2.97-3.23
Pb (0.3822, 0.2963, 0.9728)  2 O 2.48-2.53
Pb (0.3592, 0.6132, 0.3057)  3 O 2.35-2.41
Pb (0.8273, 0.5235, 0.3311)  1 O 2.33
Pb (0.1727, 0.8311, 0.4765)  1 O 2.33
Pb (0.8273, 0.9765, 0.1689)  1 O 2.33
Pb (0.1804, 0.0466, 0.8419)  1 O 2.25
Pb (0.3822, 0.2037, 0.5272)  2 O 2.48-2.53
Pb (0.6178, 0.0272, 0.7963)  2 O 2.48-2.53
Pb (0.8196, 0.1581, 0.5466)  1 O 2.25
Pb (0.6178, 0.4728, 0.7037)  2 O 2.48-2.53
Pb (0.1727, 0.6689, 0.0235)  1 O 2.33
Pb (0.8196, 0.3419, 0.9534)  1 O 2.25
Pb (0.1804, 0.4534, 0.6581)  1 O 2.25
Pb (0.6408, 0.6943, 0.1132)  3 O 2.35-2.41
Pb (0.3592, 0.8868, 0.1943)  3 O 2.35-2.41
Pb (0.6408, 0.8057, 0.3868)  3 O 2.35-2.41
O (0.6054, 0.1567, 0.6486)  1 Mg 1.96
O (0.6273, 0.8575, 0.2033)  4 Pb 2.33-2.41
O (0.3946, 0.3514, 0.6567)  1 Mg 1.96
O (0.3727, 0.7033, 0.1425)  4 Pb 2.33-2.41
O (0.3946, 0.1486, 0.8433)  1 Mg 1.96
O (0.6054, 0.3433, 0.8514)  1 Mg 1.96
O (0.6273, 0.6425, 0.2967)  4 Pb 2.33-2.41
O (0.3727, 0.7967, 0.3575)  4 Pb 2.33-2.41
Tl (0.3626, 0.2500, 0.2500)  2 Pb 3.55, 8 Br 3.55-3.74
Tl (0.6374, 0.7500, 0.7500)  2 Pb 3.55, 8 Br 3.55-3.74
Mg (0.5000, 0.2500, 0.7500)  4 O 1.96

space-group type = P-4
crystal system = tetragonal


[3]
## MgTl2Pb16Br18O8 (PBE)

Data for a geometry-optimized MgTl2Pb16Br18O8 structure.

Cell: 8.5803 12.7283 12.7362 Å, 91.27 90.00 90.00°
Closest atoms and distances in Å follow each position.
Fractional positions:
Tl (0.3163, 0.2500, 0.2500)  6 Br 3.45-3.62
Tl (0.6306, 0.7500, 0.7500)  8 Br 3.52-3.79, 2 Pb 3.65
Pb (0.8277, 0.5096, 0.3503)  1 O 2.29
Pb (0.8277, 0.9904, 0.1497)  1 O 2.29
Pb (0.3923, 0.6168, 0.3040)  3 O 2.28-2.41
Pb (0.1776, 0.6610, 0.0327)  1 O 2.32
Pb (0.1731, 0.4731, 0.6649)  1 O 2.33
Pb (0.6274, 0.8057, 0.4698)  2 O 2.44-2.65
Pb (0.6399, 0.1171, 0.8067)  3 O 2.33-2.41
Pb (0.3545, 0.1905, 0.6151)  3 O 2.35-2.41
Pb (0.6399, 0.3829, 0.6933)  3 O 2.33-2.41
Pb (0.1731, 0.0269, 0.8351)  1 O 2.33
Pb (0.8173, 0.1580, 0.5217)  1 O 2.32
Pb (0.3923, 0.8832, 0.1960)  3 O 2.28-2.41
Pb (0.8173, 0.3420, 0.9783)  1 O 2.32
Pb (0.6274, 0.6943, 0.0302)  2 O 2.44-2.65
Pb (0.1776, 0.8390, 0.4673)  1 O 2.32
Pb (0.3545, 0.3095, 0.8849)  3 O 2.35-2.41
O (0.3911, 0.7025, 0.1374)  4 Pb 2.32-2.44
O (0.6509, 0.8565, 0.1639)  1 Mg 1.93
O (0.6247, 0.1998, 0.6433)  4 Pb 2.32-2.41
O (0.6509, 0.6435, 0.3361)  1 Mg 1.93
O (0.3715, 0.3549, 0.7023)  4 Pb 2.33-2.41
O (0.3911, 0.7975, 0.3626)  4 Pb 2.32-2.44
O (0.3715, 0.1451, 0.7977)  4 Pb 2.33-2.41
O (0.6247, 0.3002, 0.8567)  4 Pb 2.32-2.41
Br (0.8697, 0.5425, 0.8691)  1 Pb 2.97
Br (0.6080, 0.3566, 0.4282)  1 Pb 2.90
Br (0.3821, 0.8771, 0.9322)  1 Pb 2.91
Br (0.3736, 0.9333, 0.6381)  3 Pb 2.98-3.30
Br (0.1141, 0.1456, 0.0379)  1 Pb 3.01
Br (0.1188, 0.4604, 0.1379)  1 Pb 2.95
Br (0.3821, 0.6229, 0.5678)  1 Pb 2.91
Br (0.9008, 0.8710, 0.9544)  1 Pb 2.95
Br (0.1188, 0.0396, 0.3621)  1 Pb 2.95
Br (0.6053, 0.4533, 0.1230)  1 Pb 2.93
Br (0.9936, 0.2500, 0.7500)  8 Pb 3.43-3.61, 4 O 3.50-3.56
Br (0.8697, 0.9575, 0.6309)  1 Pb 2.97
Br (0.6053, 0.0467, 0.3770)  1 Pb 2.93
Br (0.3736, 0.5667, 0.8619)  3 Pb 2.98-3.30
Br (0.1141, 0.3544, 0.4621)  1 Pb 3.01
Br (0.6080, 0.1434, 0.0718)  1 Pb 2.90
Br (0.0350, 0.7500, 0.2500)  1 Mg 2.52
Br (0.9008, 0.6290, 0.5456)  1 Pb 2.95
Mg (0.7415, 0.7500, 0.2500)  2 O 1.93

space-group type = P2
crystal system = monoclinic


[4]
## MgZnBr4O7 (PBE)

Data for a geometry-optimized MgZnBr4O7 structure.

Cell: 14.8596 6.3227 11.7745 Å, 66.68 90.00 90.00°
Closest atoms and distances in Å follow each position.
Fractional positions:
O (0.4820, 0.7188, 0.3150)  1 O 1.35
O (0.9859, 0.4846, 0.3078)  1 O 1.34
O (0.3727, 0.3721, 0.0326)  1 Br 1.77
O (0.0141, 0.5154, 0.6922)  1 O 1.34
O (0.0180, 0.7188, 0.8150)  1 O 1.35
O (0.9004, 0.3174, 0.9518)  1 Br 1.74
O (0.5141, 0.4846, 0.8078)  1 O 1.34
O (0.5905, 0.8610, 0.4867)  1 Br 1.72
O (0.0905, 0.1390, 0.0133)  1 Br 1.72
O (0.9095, 0.8610, 0.9867)  1 Br 1.72
O (0.8727, 0.6279, 0.4674)  1 Br 1.77
O (0.5180, 0.2812, 0.6850)  1 O 1.35
O (0.4984, 0.7173, 0.2022)  2 O 1.34-1.35
O (0.4004, 0.6826, 0.5482)  1 Br 1.74
O (0.9820, 0.2812, 0.1850)  1 O 1.35
O (0.4859, 0.5154, 0.1922)  1 O 1.34
O (0.9353, 0.1974, 0.6152)  1 Br 1.78
O (0.5996, 0.3174, 0.4518)  1 Br 1.74
O (0.0647, 0.8026, 0.3848)  1 Br 1.78
O (0.4353, 0.8026, 0.8848)  1 Br 1.78
O (0.0996, 0.6826, 0.0482)  1 Br 1.74
O (0.4095, 0.1390, 0.5133)  1 Br 1.72
O (0.0016, 0.7173, 0.7022)  2 O 1.34-1.35
O (0.5016, 0.2827, 0.7978)  2 O 1.34-1.35
O (0.9984, 0.2827, 0.2978)  2 O 1.34-1.35
O (0.6273, 0.6279, 0.9674)  1 Br 1.77
O (0.1273, 0.3721, 0.5326)  1 Br 1.77
O (0.5647, 0.1974, 0.1152)  1 Br 1.78
Br (0.0679, 0.8645, 0.1196)  2 O 1.72-1.74
Br (0.7697, 0.4443, 0.2115)  1 Zn 2.27
Br (0.2303, 0.5557, 0.7885)  1 Zn 2.27
Br (0.1713, 0.8573, 0.4370)  1 O 1.78
Br (0.7303, 0.4443, 0.7115)  1 Zn 2.27
Br (0.5679, 0.1355, 0.3804)  2 O 1.72-1.74
Br (0.8287, 0.1427, 0.5630)  1 O 1.78
Br (0.2697, 0.5557, 0.2885)  1 Zn 2.27
Br (0.6732, 0.8932, 0.8637)  1 O 1.77
Br (0.3287, 0.8573, 0.9370)  1 O 1.78
Br (0.6713, 0.1427, 0.0630)  1 O 1.78
Br (0.4321, 0.8645, 0.6196)  2 O 1.72-1.74
Br (0.9321, 0.1355, 0.8804)  2 O 1.72-1.74
Br (0.3268, 0.1068, 0.1363)  1 O 1.77
Br (0.8268, 0.8932, 0.3637)  1 O 1.77
Br (0.1732, 0.1068, 0.6363)  1 O 1.77
Zn (0.7608, 0.7914, 0.7183)  3 Br 2.27-2.47
Zn (0.7392, 0.7914, 0.2182)  3 Br 2.27-2.47
Zn (0.2392, 0.2086, 0.2818)  3 Br 2.27-2.47
Zn (0.2608, 0.2086, 0.7817)  3 Br 2.27-2.47
Mg (0.5000, 0.5000, 0.5000)  4 O 2.08-2.09
Mg (0.0000, 0.5000, 0.0000)  4 O 2.08-2.09
Mg (0.5000, 0.5000, 0.0000)  4 O 2.03-2.09
Mg (0.0000, 0.5000, 0.5000)  4 O 2.03-2.09

space-group type = P2_1/c
crystal system = monoclinic


no.,E_form (eV per atom)
1,-1.131
2,-1.137
3,-1.135
4,-0.264